# 1
A relaxed PrHSe2O6 crystal, computed with meta-GGA r2SCAN.

Unit cell a=8.419 b=7.082 c=18.884 alpha=90.00 beta=90.00 gamma=90.00
Space group Pca2_1 (No. 29)
Unique sites:
Pr (0.057, 0.082, 0.000) (multiplicity 4)
Pr (0.158, 0.580, 0.086) (multiplicity 4)
H (0.091, 0.273, 0.801) (multiplicity 4)
H (0.169, 0.207, 0.289) (multiplicity 4)
Se (0.091, 0.430, 0.445) (multiplicity 4)
Se (0.127, 0.556, 0.737) (multiplicity 4)
Se (0.168, 0.920, 0.347) (multiplicity 4)
Se (0.190, 0.064, 0.640) (multiplicity 4)
O (0.007, 0.136, 0.616) (multiplicity 4)
O (0.008, 0.185, 0.864) (multiplicity 4)
O (0.038, 0.735, 0.977) (multiplicity 4)
O (0.070, 0.595, 0.512) (multiplicity 4)
O (0.082, 0.527, 0.650) (multiplicity 4)
O (0.083, 0.128, 0.310) (multiplicity 4)
O (0.168, 0.317, 0.763) (multiplicity 4)
O (0.181, 0.231, 0.109) (multiplicity 4)
O (0.186, 0.630, 0.225) (multiplicity 4)
O (0.204, 0.988, 0.431) (multiplicity 4)
O (0.212, 0.903, 0.571) (multiplicity 4)
O (0.225, 0.362, 0.970) (multiplicity 4)

Calculated values
As for the magnetization: 0.00 μB per atom. The value obtained for the formation energy is -16.939 eV per formula unit.

***

# 2
A relaxed ThH2SO6 crystal, computed with meta-GGA r2SCAN.

Unit cell a=11.681 b=6.066 c=7.074 alpha=90.00 beta=90.00 gamma=90.00
Space group Pnma (No. 62)
Unique sites:
Th (0.063, 0.250, 0.148) (multiplicity 4)
H (0.161, 0.517, 0.831) (multiplicity 8)
S (0.139, 0.750, 0.447) (multiplicity 4)
O (0.025, 0.750, 0.535) (multiplicity 4)
O (0.089, 0.502, 0.896) (multiplicity 8)
O (0.154, 0.552, 0.328) (multiplicity 8)
O (0.227, 0.750, 0.596) (multiplicity 4)

Calculated values
As for the magnetization: 0.00 μB per atom. The value obtained for the formation energy is -22.219 eV per formula unit.

***

# 3
A relaxed SmHO2 crystal, computed with meta-GGA r2SCAN.

Unit cell a=4.375 b=3.758 c=6.149 alpha=90.00 beta=108.65 gamma=90.00
Space group P2_1/m (No. 11)
Unique sites:
Sm (0.167, 0.250, 0.309) (multiplicity 2)
H (0.480, 0.750, 0.074) (multiplicity 2)
O (0.254, 0.750, 0.061) (multiplicity 2)
O (0.264, 0.750, 0.546) (multiplicity 2)

Calculated values
As for the magnetization: 0.00 μB per atom. The value obtained for the formation energy is -11.254 eV per formula unit.

***

# 4
A relaxed Sn3H2O4 crystal, computed with meta-GGA r2SCAN.

Unit cell a=11.205 b=11.207 c=9.085 alpha=90.00 beta=90.09 gamma=90.00
Space group Cc (No. 9)
Unique sites:
Sn (0.000, 0.043, 0.000) (multiplicity 4)
Sn (0.087, 0.252, 0.271) (multiplicity 4)
Sn (0.089, 0.248, 0.717) (multiplicity 4)
Sn (0.176, 0.457, 0.996) (multiplicity 4)
Sn (0.295, 0.162, 0.993) (multiplicity 4)
Sn (0.381, 0.162, 0.489) (multiplicity 4)
H (0.007, 0.495, 0.228) (multiplicity 4)
H (0.168, 0.009, 0.235) (multiplicity 4)
H (0.331, 0.329, 0.757) (multiplicity 4)
H (0.346, 0.333, 0.257) (multiplicity 4)
O (0.020, 0.429, 0.159) (multiplicity 4)
O (0.037, 0.381, 0.870) (multiplicity 4)
O (0.140, 0.117, 0.874) (multiplicity 4)
O (0.155, 0.074, 0.164) (multiplicity 4)
O (0.220, 0.303, 0.117) (multiplicity 4)
O (0.266, 0.316, 0.827) (multiplicity 4)
O (0.411, 0.319, 0.327) (multiplicity 4)
O (0.455, 0.300, 0.616) (multiplicity 4)

Calculated values
As for the magnetization: 0.00 μB per atom. The value obtained for the formation energy is -11.356 eV per formula unit.